Record 1
VASP calculation (PBE) on a geometry-optimized LiTeHO4 structure.

Unit cell a=5.063 b=6.119 c=5.116 alpha=90.00 beta=101.60 gamma=90.00
Positions (direct):
Li1 0.108 0.000 0.387
Li2 0.892 0.500 0.613
Te1 0.492 0.248 0.011
Te2 0.508 0.748 0.989
H1 0.472 0.744 0.458
H2 0.528 0.244 0.542
O1 0.262 0.498 0.836
O2 0.271 0.997 0.822
O3 0.318 0.240 0.299
O4 0.320 0.756 0.284
O5 0.680 0.256 0.716
O6 0.682 0.740 0.701
O7 0.729 0.497 0.178
O8 0.738 0.998 0.164

Values from the calculation:
Calculated volume: 11.1 A^3/atom
Piezoelectric modulus e_max: 0.10 C/m²
Corrected total energy (MP2020 scheme): -78.36 eV for the cell shown
Magnetic moment: 0.0001 μB/atom
Energy of formation: -1.563 eV/atom
Theoretical density: 4269 kg/m3

=====

Record 2
VASP calculation (PBE) on a geometry-optimized LiTeHO4 structure.

Unit cell a=4.997 b=6.130 c=5.108 alpha=90.00 beta=100.91 gamma=90.00
Positions (direct):
Li1 0.000 0.250 0.000
Li2 0.000 0.750 0.000
Te1 0.383 0.000 0.607
Te2 0.384 0.500 0.612
H1 0.430 0.000 0.148
H2 0.450 0.500 0.163
O1 0.155 0.252 0.431
O2 0.155 0.748 0.431
O3 0.193 0.000 0.893
O4 0.202 0.500 0.902
O5 0.577 0.000 0.317
O6 0.592 0.500 0.333
O7 0.618 0.248 0.778
O8 0.618 0.752 0.778

Values from the calculation:
Calculated volume: 11.0 A^3/atom
Corrected total energy (MP2020 scheme): -78.42 eV for the cell shown
Magnetic moment: 0.0001 μB/atom
Energy of formation: -1.568 eV/atom
Theoretical density: 4314 kg/m3

=====

Record 3
VASP calculation (PBE) on a geometry-optimized Li4H6Os structure.

Unit cell a=5.864 b=5.864 c=5.864 alpha=89.78 beta=89.78 gamma=89.78
Positions (direct):
Li1 0.158 0.750 0.342
Li2 0.250 0.250 0.250
Li3 0.250 0.658 0.842
Li4 0.342 0.158 0.750
Li5 0.658 0.842 0.250
Li6 0.750 0.342 0.158
Li7 0.750 0.750 0.750
Li8 0.842 0.250 0.658
H1 0.042 0.951 0.712
H2 0.049 0.288 0.958
H3 0.212 0.451 0.542
H4 0.288 0.958 0.049
H5 0.451 0.542 0.212
H6 0.458 0.788 0.549
H7 0.542 0.212 0.451
H8 0.549 0.458 0.788
H9 0.712 0.042 0.951
H10 0.788 0.549 0.458
H11 0.951 0.712 0.042
H12 0.958 0.049 0.288
Os1 0.000 0.000 0.000
Os2 0.500 0.500 0.500

Values from the calculation:
Calculated volume: 9.2 A^3/atom
Energy of formation: -0.404 eV/atom
Theoretical density: 3691 kg/m3

=====

Record 4
VASP calculation (PBE) on a geometry-optimized LiPH2 structure.

Unit cell a=3.622 b=3.622 c=2.939 alpha=90.00 beta=90.00 gamma=90.00
Positions (direct):
Li1 0.000 0.000 0.000
P1 0.500 0.500 0.500
H1 0.000 0.500 0.500
H2 0.500 0.000 0.500

Values from the calculation:
Calculated volume: 9.6 A^3/atom
Corrected total energy (MP2020 scheme): -13.75 eV for the cell shown
Magnetic moment: 0.0002 μB/atom
Energy of formation: 0.090 eV/atom
Theoretical density: 1720 kg/m3

=====

Record 5
VASP calculation (PBE) on a geometry-optimized Li2H2Pd structure.

Unit cell a=3.121 b=3.121 c=10.326 alpha=90.00 beta=90.00 gamma=90.00
Positions (direct):
Li1 0.000 0.000 0.147
Li2 0.000 0.000 0.853
Li3 0.500 0.500 0.353
Li4 0.500 0.500 0.647
H1 0.000 0.000 0.336
H2 0.000 0.000 0.664
H3 0.500 0.500 0.164
H4 0.500 0.500 0.836
Pd1 0.000 0.000 0.500
Pd2 0.500 0.500 0.000

Values from the calculation:
Calculated volume: 10.1 A^3/atom
Energy of formation: -0.432 eV/atom
Theoretical density: 4038 kg/m3

=====

Record 6
VASP calculation (PBE) on a geometry-optimized Li4H4Rh structure.

Unit cell a=4.895 b=4.895 c=4.895 alpha=100.02 beta=100.02 gamma=130.69
Positions (direct):
Li1 0.113 0.282 0.395
Li2 0.282 0.887 0.169
Li3 0.718 0.113 0.831
Li4 0.887 0.718 0.605
H1 0.235 0.567 0.802
H2 0.433 0.235 0.667
H3 0.567 0.765 0.333
H4 0.765 0.433 0.198
Rh1 0.500 0.500 0.000

Values from the calculation:
Calculated volume: 9.0 A^3/atom
Energy of formation: -0.409 eV/atom
Theoretical density: 2767 kg/m3

=====

Record 7
VASP calculation (PBE) on a geometry-optimized Li3H4Rh structure.

Unit cell a=4.887 b=4.887 c=8.846 alpha=90.00 beta=90.00 gamma=134.58
Positions (direct):
Li1 0.012 0.988 0.750
Li2 0.335 0.665 0.570
Li3 0.335 0.665 0.930
Li4 0.665 0.335 0.070
Li5 0.665 0.335 0.430
Li6 0.988 0.012 0.250
H1 0.164 0.836 0.113
H2 0.164 0.836 0.387
H3 0.432 0.568 0.123
H4 0.432 0.568 0.377
H5 0.568 0.432 0.623
H6 0.568 0.432 0.877
H7 0.836 0.164 0.613
H8 0.836 0.164 0.887
Rh1 0.294 0.706 0.250
Rh2 0.706 0.294 0.750

Values from the calculation:
Calculated volume: 9.4 A^3/atom
Energy of formation: -0.409 eV/atom
Theoretical density: 2820 kg/m3

=====

Record 8
VASP calculation (PBE) on a geometry-optimized Li4H5Rh structure.

Unit cell a=5.027 b=5.027 c=9.292 alpha=90.00 beta=90.00 gamma=134.43
Positions (direct):
Li1 0.079 0.921 0.615
Li2 0.079 0.921 0.885
Li3 0.370 0.630 0.592
Li4 0.370 0.630 0.908
Li5 0.630 0.370 0.092
Li6 0.630 0.370 0.408
Li7 0.921 0.079 0.115
Li8 0.921 0.079 0.385
H1 0.136 0.864 0.109
H2 0.136 0.864 0.391
H3 0.233 0.767 0.750
H4 0.404 0.596 0.120
H5 0.404 0.596 0.380
H6 0.596 0.404 0.620
H7 0.596 0.404 0.880
H8 0.767 0.233 0.250
H9 0.864 0.136 0.609
H10 0.864 0.136 0.891
Rh1 0.268 0.732 0.250
Rh2 0.732 0.268 0.750

Values from the calculation:
Calculated volume: 8.4 A^3/atom
Magnetic moment: 0.0004 μB/atom
Energy of formation: -0.349 eV/atom
Theoretical density: 2688 kg/m3

=====

Record 9
VASP calculation (PBE) on a geometry-optimized Li3H6Rh structure.

Unit cell a=8.454 b=4.748 c=8.547 alpha=90.00 beta=90.00 gamma=90.00
Positions (direct):
Li1 0.045 0.250 0.125
Li2 0.103 0.750 0.518
Li3 0.218 0.250 0.743
Li4 0.282 0.750 0.243
Li5 0.397 0.250 0.018
Li6 0.455 0.750 0.625
Li7 0.545 0.250 0.375
Li8 0.603 0.750 0.982
Li9 0.718 0.250 0.757
Li10 0.782 0.750 0.257
Li11 0.897 0.250 0.482
Li12 0.955 0.750 0.875
H1 0.109 0.006 0.317
H2 0.109 0.494 0.317
H3 0.114 0.250 0.552
H4 0.153 0.001 0.962
H5 0.153 0.499 0.962
H6 0.163 0.750 0.734
H7 0.337 0.250 0.234
H8 0.347 0.501 0.462
H9 0.347 0.999 0.462
H10 0.386 0.750 0.052
H11 0.391 0.506 0.817
H12 0.391 0.994 0.817
H13 0.609 0.006 0.183
H14 0.609 0.494 0.183
H15 0.614 0.250 0.948
H16 0.653 0.001 0.538
H17 0.653 0.499 0.538
H18 0.663 0.750 0.766
H19 0.837 0.250 0.266
H20 0.847 0.501 0.038
H21 0.847 0.999 0.038
H22 0.886 0.750 0.448
H23 0.891 0.506 0.683
H24 0.891 0.994 0.683
Rh1 0.227 0.250 0.392
Rh2 0.273 0.750 0.892
Rh3 0.727 0.250 0.108
Rh4 0.773 0.750 0.608

Values from the calculation:
Calculated volume: 8.6 A^3/atom
Energy of formation: -0.402 eV/atom
Theoretical density: 2513 kg/m3

=====

Record 10
VASP calculation (PBE) on a geometry-optimized LiHS structure.

Unit cell a=7.890 b=7.890 c=6.189 alpha=90.00 beta=90.00 gamma=90.00
Positions (direct):
Li1 0.000 0.000 0.250
Li2 0.000 0.000 0.750
Li3 0.000 0.500 0.250
Li4 0.000 0.500 0.750
Li5 0.500 0.000 0.250
Li6 0.500 0.000 0.750
Li7 0.500 0.500 0.250
Li8 0.500 0.500 0.750
H1 0.187 0.251 0.000
H2 0.249 0.313 0.500
H3 0.251 0.813 0.500
H4 0.313 0.751 0.000
H5 0.687 0.249 0.000
H6 0.749 0.187 0.500
H7 0.751 0.687 0.500
H8 0.813 0.749 0.000
S1 0.015 0.250 0.000
S2 0.250 0.485 0.500
S3 0.250 0.985 0.500
S4 0.485 0.750 0.000
S5 0.515 0.250 0.000
S6 0.750 0.015 0.500
S7 0.750 0.515 0.500
S8 0.985 0.750 0.000

Values from the calculation:
Calculated volume: 16.1 A^3/atom
Corrected total energy (MP2020 scheme): -97.96 eV for the cell shown
Energy of formation: -0.935 eV/atom
Theoretical density: 1380 kg/m3

=====

Record 11
VASP calculation (PBE) on a geometry-optimized LiHS structure.

Unit cell a=6.175 b=5.632 c=5.524 alpha=90.00 beta=90.00 gamma=90.00
Positions (direct):
Li1 0.000 0.000 0.000
Li2 0.000 0.500 0.500
Li3 0.500 0.000 0.000
Li4 0.500 0.500 0.500
H1 0.250 0.075 0.557
H2 0.250 0.575 0.057
H3 0.750 0.425 0.057
H4 0.750 0.925 0.557
S1 0.250 0.238 0.735
S2 0.250 0.738 0.235
S3 0.750 0.262 0.235
S4 0.750 0.762 0.735

Values from the calculation:
Calculated volume: 16.0 A^3/atom
Piezoelectric modulus e_max: 0.39 C/m²
Corrected total energy (MP2020 scheme): -48.98 eV for the cell shown
Energy of formation: -0.935 eV/atom
Theoretical density: 1384 kg/m3

=====

Record 12
VASP calculation (PBE) on a geometry-optimized LiHS structure.

Unit cell a=6.165 b=3.943 c=7.856 alpha=90.00 beta=90.00 gamma=90.00
Positions (direct):
Li1 0.250 0.001 0.000
Li2 0.250 0.999 0.500
Li3 0.750 0.001 0.000
Li4 0.750 0.999 0.500
H1 0.000 0.375 0.249
H2 0.000 0.625 0.749
H3 0.500 0.486 0.315
H4 0.500 0.514 0.815
S1 0.000 0.033 0.249
S2 0.000 0.967 0.749
S3 0.500 0.498 0.486
S4 0.500 0.502 0.986

Values from the calculation:
Calculated volume: 15.9 A^3/atom
Piezoelectric modulus e_max: 0.30 C/m²
Corrected total energy (MP2020 scheme): -48.97 eV for the cell shown
Energy of formation: -0.935 eV/atom
Theoretical density: 1392 kg/m3

=====

Record 13
VASP calculation (PBE) on a geometry-optimized LiHS structure.

Unit cell a=12.331 b=3.957 c=7.916 alpha=90.00 beta=90.00 gamma=90.00
Positions (direct):
Li1 0.125 0.000 0.003
Li2 0.125 0.000 0.503
Li3 0.375 0.000 0.003
Li4 0.375 0.000 0.503
Li5 0.625 0.000 0.497
Li6 0.625 0.000 0.997
Li7 0.875 0.000 0.497
Li8 0.875 0.000 0.997
H1 0.000 0.355 0.250
H2 0.000 0.645 0.750
H3 0.250 0.500 0.324
H4 0.250 0.500 0.824
H5 0.500 0.355 0.750
H6 0.500 0.645 0.250
H7 0.750 0.500 0.176
H8 0.750 0.500 0.676
S1 0.000 0.013 0.250
S2 0.000 0.987 0.750
S3 0.250 0.500 0.494
S4 0.250 0.500 0.994
S5 0.500 0.013 0.750
S6 0.500 0.987 0.250
S7 0.750 0.500 0.006
S8 0.750 0.500 0.506

Values from the calculation:
Calculated volume: 16.1 A^3/atom
Corrected total energy (MP2020 scheme): -97.94 eV for the cell shown
Magnetic moment: 0.0000 μB/atom
Energy of formation: -0.935 eV/atom
Theoretical density: 1376 kg/m3

=====

Record 14
VASP calculation (PBE) on a geometry-optimized LuH2 structure.

Unit cell a=5.022 b=5.022 c=5.022 alpha=90.00 beta=90.00 gamma=90.00
Positions (direct):
Lu1 0.000 0.000 0.000
Lu2 0.000 0.500 0.500
Lu3 0.500 0.000 0.500
Lu4 0.500 0.500 0.000
H1 0.250 0.250 0.250
H2 0.250 0.250 0.750
H3 0.250 0.750 0.250
H4 0.250 0.750 0.750
H5 0.750 0.250 0.250
H6 0.750 0.250 0.750
H7 0.750 0.750 0.250
H8 0.750 0.750 0.750

Values from the calculation:
Calculated volume: 10.6 A^3/atom
Corrected total energy (MP2020 scheme): -54.77 eV for the cell shown
Energy of formation: -0.795 eV/atom
Theoretical density: 9283 kg/m3

=====

Record 15
VASP calculation (PBE) on a geometry-optimized LuH3 structure.

Unit cell a=3.348 b=3.348 c=5.564 alpha=90.00 beta=90.00 gamma=90.00
Positions (direct):
Lu1 0.000 0.000 0.000
Lu2 0.500 0.500 0.500
H1 0.000 0.000 0.500
H2 0.000 0.500 0.250
H3 0.000 0.500 0.750
H4 0.500 0.000 0.250
H5 0.500 0.000 0.750
H6 0.500 0.500 0.000

Values from the calculation:
Calculated volume: 7.8 A^3/atom
Corrected total energy (MP2020 scheme): -34.50 eV for the cell shown
Magnetic moment: 0.0000 μB/atom
Energy of formation: -0.637 eV/atom
Theoretical density: 9476 kg/m3

=====

Record 16
VASP calculation (PBE) on a geometry-optimized LuH3 structure.

Unit cell a=6.115 b=6.115 c=6.389 alpha=90.00 beta=90.00 gamma=120.00
Positions (direct):
Lu1 0.000 0.337 0.250
Lu2 0.000 0.663 0.750
Lu3 0.337 0.000 0.250
Lu4 0.337 0.337 0.750
Lu5 0.663 0.000 0.750
Lu6 0.663 0.663 0.250
H1 0.000 0.000 0.250
H2 0.000 0.000 0.750
H3 0.028 0.348 0.908
H4 0.028 0.679 0.408
H5 0.321 0.348 0.408
H6 0.321 0.972 0.908
H7 0.333 0.667 0.180
H8 0.333 0.667 0.680
H9 0.348 0.028 0.592
H10 0.348 0.321 0.092
H11 0.652 0.679 0.908
H12 0.652 0.972 0.408
H13 0.667 0.333 0.320
H14 0.667 0.333 0.820
H15 0.679 0.028 0.092
H16 0.679 0.652 0.592
H17 0.972 0.321 0.592
H18 0.972 0.652 0.092

Values from the calculation:
Calculated volume: 8.6 A^3/atom
Corrected total energy (MP2020 scheme): -105.64 eV for the cell shown
Energy of formation: -0.727 eV/atom
Theoretical density: 8572 kg/m3